Entry 1:
This record from the Materials Project database describes a relaxed Ce4SnO10 crystal. The functional is PBE.

Unit cell a=3.8295 b=3.8295 c=46.8748 alpha=90.00 beta=90.00 gamma=120.00
Space group R-3m (No. 166, hexagonal axes)
Symmetry-distinct sites (fractional):
Ce  0.0000  0.0000  0.1025 [6 per cell]
Ce  0.0000  0.0000  0.2993 [6 per cell]
Sn  0.0000  0.0000  0.5000 [3 per cell]
O  0.0000  0.0000  0.0511 [6 per cell]
O  0.0000  0.0000  0.1528 [6 per cell]
O  0.0000  0.0000  0.2477 [6 per cell]
O  0.0000  0.0000  0.3502 [6 per cell]
O  0.0000  0.0000  0.4538 [6 per cell]

- E (MP2020) (eV/cell) = -388.7
- calculated density (g/cm3) = 7.0
- formation energy from the elements (eV per atom) = -3.491

---

Entry 2:
This record from the Materials Project database describes a relaxed Li2Eu5O8 crystal. The functional is PBE.

Unit cell a=13.568 b=3.525 c=9.785 alpha=90.00 beta=119.74 gamma=90.00
Space group C2/m (No. 12)
Symmetry-distinct sites (fractional):
Li  0.191  0.000  0.264 [4 per cell]
Eu  0.000  0.500  0.000 [2 per cell]
Eu  0.109  0.500  0.434 [4 per cell]
Eu  0.167  0.000  0.814 [4 per cell]
O  0.040  0.000  0.226 [4 per cell]
O  0.082  0.500  0.657 [4 per cell]
O  0.178  0.000  0.063 [4 per cell]
O  0.236  0.000  0.618 [4 per cell]

- E (MP2020) (eV/cell) = -279.4
- calculated density (g/cm3) = 7.4
- formation energy from the elements (eV per atom) = -3.001

---

Entry 3:
This record from the Materials Project database describes a relaxed MgPaRu2 crystal. The functional is PBE.

Unit cell a=6.586 b=6.586 c=6.586 alpha=90.00 beta=90.00 gamma=90.00
Space group Fm-3m (No. 225)
Symmetry-distinct sites (fractional):
Mg  0.000  0.000  0.000 [4 per cell]
Pa  0.000  0.000  0.500 [4 per cell]
Ru  0.250  0.250  0.250 [8 per cell]

- calculated density (g/cm3) = 10.6
- formation energy from the elements (eV per atom) = -0.394

---

Entry 4:
This record from the Materials Project database describes a relaxed K2ZrSi2O7 crystal. The functional is PBE.

Unit cell a=19.876 b=11.349 c=14.557 alpha=90.00 beta=116.71 gamma=90.00
Space group C2/m (No. 12)
Symmetry-distinct sites (fractional):
K  0.109  0.000  0.078 [4 per cell]
K  0.110  0.500  0.072 [4 per cell]
K  0.121  0.000  0.568 [4 per cell]
K  0.121  0.500  0.599 [4 per cell]
K  0.132  0.246  0.896 [8 per cell]
K  0.154  0.261  0.437 [8 per cell]
Zr  0.008  0.500  0.770 [4 per cell]
Zr  0.013  0.000  0.270 [4 per cell]
Zr  0.246  0.250  0.249 [8 per cell]
Si  0.039  0.244  0.123 [8 per cell]
Si  0.052  0.275  0.619 [8 per cell]
Si  0.200  0.000  0.866 [4 per cell]
Si  0.202  0.500  0.376 [4 per cell]
Si  0.215  0.500  0.885 [4 per cell]
Si  0.220  0.000  0.360 [4 per cell]
O  0.000  0.208  0.000 [4 per cell]
O  0.000  0.323  0.500 [4 per cell]
O  0.004  0.371  0.133 [8 per cell]
O  0.013  0.138  0.174 [8 per cell]
O  0.033  0.364  0.691 [8 per cell]
O  0.034  0.133  0.627 [8 per cell]
O  0.047  0.124  0.395 [8 per cell]
O  0.108  0.500  0.324 [4 per cell]
O  0.109  0.000  0.816 [4 per cell]
O  0.130  0.000  0.334 [4 per cell]
O  0.130  0.249  0.161 [8 per cell]
O  0.130  0.500  0.875 [4 per cell]
O  0.139  0.268  0.640 [8 per cell]
O  0.223  0.000  0.992 [4 per cell]
O  0.230  0.500  0.502 [4 per cell]
O  0.234  0.380  0.346 [8 per cell]
O  0.235  0.120  0.841 [8 per cell]
O  0.235  0.381  0.838 [8 per cell]

- E (MP2020) (eV/cell) = -1427.9
- calculated density (g/cm3) = 3.1
- formation energy from the elements (eV per atom) = -2.749

---

Entry 5:
This record from the Materials Project database describes a relaxed Na2UO4 crystal. The functional is PBE.

Unit cell a=5.768 b=9.910 c=3.526 alpha=90.00 beta=90.00 gamma=90.00
Space group Pbam (No. 55)
Symmetry-distinct sites (fractional):
Na  0.057  0.183  0.000 [4 per cell]
U  0.000  0.500  0.500 [2 per cell]
O  0.145  0.677  0.500 [4 per cell]
O  0.209  0.447  0.000 [4 per cell]

- E (MP2020) (eV/cell) = -109.9
- calculated density (g/cm3) = 5.7
- formation energy from the elements (eV per atom) = -3.028

---

Entry 6:
This record from the Materials Project database describes a relaxed KMgNbO3 crystal. The functional is PBE.

Unit cell a=4.319 b=5.567 c=6.907 alpha=90.00 beta=90.00 gamma=90.00
Space group Amm2 (No. 38)
Symmetry-distinct sites (fractional):
K  0.000  0.000  0.000 [2 per cell]
Mg  0.500  0.000  0.230 [2 per cell]
Nb  0.500  0.000  0.660 [2 per cell]
O  0.000  0.000  0.648 [2 per cell]
O  0.500  0.243  0.919 [4 per cell]

- E (MP2020) (eV/cell) = -78.1
- calculated density (g/cm3) = 4.1
- formation energy from the elements (eV per atom) = -1.898

---

Entry 7:
This record from the Materials Project database describes a relaxed HoMg3 crystal. The functional is PBE.

Unit cell a=6.6527 b=6.6527 c=5.1901 alpha=90.00 beta=90.00 gamma=120.00
Space group P6_3/mmc (No. 194)
Symmetry-distinct sites (fractional):
Ho  0.3333  0.6667  0.2500 [2 per cell]
Mg  0.1635  0.3271  0.7500 [6 per cell]

- calculated density (g/cm3) = 4.0
- formation energy from the elements (eV per atom) = -0.053

---

Entry 8:
This record from the Materials Project database describes a relaxed TeAsXeO2F11 crystal. The functional is PBE.

Unit cell a=5.428 b=7.438 c=14.212 alpha=89.49 beta=84.11 gamma=84.21
Space group P-1 (No. 2)
Symmetry-distinct sites (fractional):
Te  0.231  0.266  0.368 [2 per cell]
As  0.107  0.236  0.874 [2 per cell]
Xe  0.366  0.263  0.120 [2 per cell]
O  0.312  0.475  0.443 [2 per cell]
O  0.433  0.342  0.254 [2 per cell]
F  0.010  0.019  0.897 [2 per cell]
F  0.061  0.204  0.483 [2 per cell]
F  0.063  0.603  0.666 [2 per cell]
F  0.099  0.678  0.029 [2 per cell]
F  0.111  0.708  0.206 [2 per cell]
F  0.135  0.065  0.308 [2 per cell]
F  0.230  0.446  0.862 [2 per cell]
F  0.341  0.140  0.790 [2 per cell]
F  0.348  0.176  0.965 [2 per cell]
F  0.417  0.609  0.383 [2 per cell]
F  0.486  0.876  0.597 [2 per cell]

- E (MP2020) (eV/cell) = -135.2
- calculated density (g/cm3) = 3.4
- formation energy from the elements (eV per atom) = -1.799

---

Entry 9:
This record from the Materials Project database describes a relaxed Li2Si crystal. The functional is PBE.

Unit cell a=4.3435 b=4.3435 c=18.4307 alpha=90.00 beta=90.00 gamma=120.00
Space group R-3m (No. 166, hexagonal axes)
Symmetry-distinct sites (fractional):
Li  0.0000  0.0000  0.1443 [6 per cell]
Li  0.0000  0.0000  0.2951 [6 per cell]
Si  0.0000  0.0000  0.4378 [6 per cell]

- E (MP2020) (eV/cell) = -58.9
- calculated density (g/cm3) = 1.4
- formation energy from the elements (eV per atom) = -0.189

---

Entry 10:
This record from the Materials Project database describes a relaxed Ce2In3Sn3 crystal. The functional is PBE.

Unit cell a=4.693 b=4.769 c=9.307 alpha=90.00 beta=90.00 gamma=90.00
Space group Pmmm (No. 47)
Symmetry-distinct sites (fractional):
Ce  0.000  0.000  0.246 [2 per cell]
In  0.000  0.500  0.500 [1 per cell]
In  0.500  0.500  0.252 [2 per cell]
Sn  0.000  0.500  0.000 [1 per cell]
Sn  0.500  0.000  0.000 [1 per cell]
Sn  0.500  0.000  0.500 [1 per cell]

- calculated density (g/cm3) = 7.8
- formation energy from the elements (eV per atom) = -0.487

---

Entry 11:
This record from the Materials Project database describes a relaxed CaBiO3 crystal. The functional is PBE.

Unit cell a=6.081 b=8.414 c=5.832 alpha=90.00 beta=90.00 gamma=90.00
Space group Pnma (No. 62)
Symmetry-distinct sites (fractional):
Ca  0.057  0.250  0.011 [4 per cell]
Bi  0.000  0.000  0.500 [4 per cell]
O  0.065  0.750  0.371 [4 per cell]
O  0.189  0.566  0.815 [8 per cell]

- E (MP2020) (eV/cell) = -127.9
- calculated density (g/cm3) = 6.6
- formation energy from the elements (eV per atom) = -2.248

---

Entry 12:
This record from the Materials Project database describes a relaxed K2SnO2 crystal. The functional is PBE.

Unit cell a=7.309 b=7.578 c=9.998 alpha=85.75 beta=70.41 gamma=61.36
Space group P-1 (No. 2)
Symmetry-distinct sites (fractional):
K  0.063  0.453  0.173 [2 per cell]
K  0.073  0.933  0.183 [2 per cell]
K  0.242  0.260  0.492 [2 per cell]
K  0.394  0.572  0.859 [2 per cell]
Sn  0.305  0.705  0.474 [2 per cell]
Sn  0.398  0.056  0.875 [2 per cell]
O  0.068  0.215  0.980 [2 per cell]
O  0.195  0.601  0.352 [2 per cell]
O  0.342  0.485  0.625 [2 per cell]
O  0.496  0.810  0.007 [2 per cell]

- E (MP2020) (eV/cell) = -98.4
- calculated density (g/cm3) = 3.3
- formation energy from the elements (eV per atom) = -1.692

---

Entry 13:
This record from the Materials Project database describes a relaxed Sc2CoPt crystal. The functional is PBE.

Unit cell a=6.460 b=6.460 c=6.460 alpha=90.00 beta=90.00 gamma=90.00
Space group Fm-3m (No. 225)
Symmetry-distinct sites (fractional):
Sc  0.250  0.250  0.250 [8 per cell]
Co  0.000  0.000  0.000 [4 per cell]
Pt  0.000  0.000  0.500 [4 per cell]

- calculated density (g/cm3) = 8.5
- formation energy from the elements (eV per atom) = -0.800